Here is La2Ti3ZnO10 after structural relaxation from the Materials Project. Energies are from PBE.

a b c (Å): 14.025 14.025 14.025
angles (deg): 164.26 164.26 22.34
Fractional positions:
La 0.080 0.080 0.000
La 0.920 0.920 0.000
Ti 0.344 0.344 0.000
Ti 0.500 0.500 0.000
Ti 0.656 0.656 0.000
Zn 0.750 0.250 0.500
O 0.000 0.500 0.500
O 0.139 0.639 0.500
O 0.279 0.279 0.000
O 0.361 0.861 0.500
O 0.429 0.429 0.000
O 0.500 0.000 0.500
O 0.571 0.571 0.000
O 0.641 0.141 0.500
O 0.721 0.721 0.000
O 0.859 0.359 0.500

Its total energy is -132.366 eV/cell. Its crystal system is tetragonal.

Here is NbNiAs2 after structural relaxation from the Materials Project. Energies are from PBE.

a b c (Å): 5.640 3.540 12.598
angles (deg): 90.00 90.00 90.00
Fractional positions:
Nb 0.010 0.250 0.172
Nb 0.490 0.750 0.672
Nb 0.510 0.250 0.328
Nb 0.990 0.750 0.828
Ni 0.021 0.250 0.413
Ni 0.479 0.750 0.913
Ni 0.521 0.250 0.087
Ni 0.979 0.750 0.587
As 0.146 0.250 0.690
As 0.196 0.250 0.963
As 0.304 0.750 0.463
As 0.354 0.750 0.190
As 0.646 0.250 0.810
As 0.696 0.250 0.537
As 0.804 0.750 0.037
As 0.854 0.750 0.310

Its total energy is -108.630 eV/cell. Its crystal system is orthorhombic.